A plane-wave DFT calculation with PBE with a Hubbard U was carried out for a relaxed structure of K6W2N4O3.

Cell and atoms, written as POSCAR:
```
K6W2N4O3
1.0
9.6690 0.0000 0.0000
0.0000 6.8397 0.0000
0.0000 6.4434 9.8348
K W N O
12 4 8 6
direct
0.5247 0.2026 0.5496
0.9753 0.2026 0.0496
0.4753 0.7974 0.4504
0.0247 0.7974 0.9504
0.6552 0.9526 0.9319
0.8448 0.9526 0.4319
0.3448 0.0474 0.0681
0.1552 0.0474 0.5681
0.7124 0.5953 0.7797
0.7876 0.5953 0.2797
0.2876 0.4047 0.2203
0.2124 0.4047 0.7203
0.6435 0.3103 0.1352
0.8565 0.3103 0.6352
0.3565 0.6897 0.8648
0.1435 0.6897 0.3648
0.6735 0.0418 0.1387
0.8265 0.0418 0.6387
0.3265 0.9582 0.8613
0.1735 0.9582 0.3613
0.7007 0.4903 0.5773
0.7993 0.4903 0.0773
0.2993 0.5097 0.4227
0.2007 0.5097 0.9227
0.5000 0.5000 0.0000
0.0000 0.5000 0.5000
0.5961 0.2407 0.3092
0.9039 0.2407 0.8092
0.4039 0.7593 0.6908
0.0961 0.7593 0.1908
```

Properties
Formation energy from the elements: -81.6 kJ/mol of atoms

=====

A plane-wave DFT calculation with PBE with a Hubbard U was carried out for a relaxed structure of Li2MnPHO5.

Cell and atoms, written as POSCAR:
```
Li2MnPHO5
1.0
-0.6222 -2.0260 5.0233
5.5890 -0.1595 0.2140
-2.2718 7.3901 0.0002
Li Mn P H O
4 2 2 2 10
direct
0.2087 0.5756 0.2110
0.7912 0.4246 0.7888
0.4827 0.1249 0.8324
0.5180 0.8749 0.1676
0.9996 0.0000 0.5005
0.0001 0.0003 0.9997
0.6654 0.3770 0.2282
0.3346 0.6229 0.7718
0.6704 0.9161 0.6351
0.3293 0.0840 0.3651
0.8620 0.3565 0.1174
0.1382 0.6436 0.8828
0.3822 0.2471 0.0700
0.6179 0.7528 0.9298
0.2703 0.7728 0.6309
0.7297 0.2269 0.3689
0.6552 0.6634 0.3287
0.3448 0.3365 0.6712
0.8155 0.0612 0.7235
0.1843 0.9389 0.2766
```

Properties
Formation energy from the elements: -227.3 kJ/mol of atoms
Energy above the lowest structure with this stoichiometry: 0.002 eV per atom

=====

A plane-wave DFT calculation with PBE with a Hubbard U was carried out for a relaxed structure of Na2LiNiF6.

Cell and atoms, written as POSCAR:
```
Na2LiNiF6
1.0
5.4724 0.0000 0.0000
2.7362 4.7392 0.0000
2.7362 1.5797 4.4682
Na Li Ni F
2 1 1 6
direct
0.2500 0.2500 0.2500
0.7500 0.7500 0.7500
0.5000 0.5000 0.5000
0.0000 0.0000 0.0000
0.2433 0.7567 0.2433
0.7567 0.7567 0.2433
0.7567 0.2433 0.7567
0.7567 0.2433 0.2433
0.2433 0.7567 0.7567
0.2433 0.2433 0.7567
```

Properties
Formation energy from the elements: -247.1 kJ/mol of atoms

=====

A plane-wave DFT calculation with PBE with a Hubbard U was carried out for a relaxed structure of V3P6H14N3O24.

Cell and atoms, written as POSCAR:
```
V3P6H14N3O24
1.0
-5.8071 3.1013 3.2933
-7.6537 -3.9245 -2.5173
-3.6801 -6.1457 6.2878
V P H N O
3 6 14 3 24
direct
0.0000 0.5000 0.5000
0.8005 0.2821 0.0522
0.1995 0.7179 0.9478
0.5499 0.4488 0.7782
0.4501 0.5512 0.2218
0.0803 0.1221 0.7661
0.9197 0.8779 0.2339
0.9102 0.6555 0.7807
0.0898 0.3445 0.2193
0.2823 0.4507 0.7140
0.7177 0.5493 0.2860
0.9157 0.9653 0.7688
0.0843 0.0347 0.2312
0.6037 0.7482 0.7514
0.3963 0.2518 0.2486
0.6965 0.2167 0.5644
0.3035 0.7833 0.4356
0.6467 0.1948 0.4143
0.3533 0.8052 0.5857
0.6378 0.0387 0.5987
0.3622 0.9613 0.4013
0.4615 0.2280 0.5660
0.5385 0.7720 0.4340
0.5000 0.0000 0.0000
0.6111 0.1688 0.5354
0.3889 0.8312 0.4646
0.6058 0.3190 0.9362
0.3942 0.6810 0.0638
0.4121 0.3740 0.7422
0.5879 0.6260 0.2578
0.4283 0.6292 0.7894
0.5717 0.3708 0.2106
0.7281 0.4695 0.6405
0.2719 0.5305 0.3595
0.0095 0.1835 0.9089
0.9905 0.8165 0.0911
0.1558 0.2609 0.6158
0.8442 0.7391 0.3842
0.2430 0.9521 0.7990
0.7570 0.0479 0.2010
0.8990 0.0919 0.7346
0.1010 0.9081 0.2654
0.0545 0.5839 0.6498
0.9455 0.4161 0.3502
0.0124 0.7605 0.8092
0.9876 0.2395 0.1908
0.8378 0.5186 0.9295
0.1622 0.4814 0.0705
0.7204 0.7972 0.7135
0.2796 0.2028 0.2865
```

Properties
Formation energy from the elements: -177.3 kJ/mol of atoms

=====

A plane-wave DFT calculation with PBE with a Hubbard U was carried out for a relaxed structure of Sm2MnSbO7.

Cell and atoms, written as POSCAR:
```
Sm2MnSbO7
1.0
-3.6208 3.7859 5.2510
3.6208 -3.7859 5.2510
3.6208 3.7859 -5.2510
Sm Mn Sb O
4 2 2 14
direct
0.5000 0.5000 0.5000
0.5000 0.0000 0.0000
0.5000 0.5000 0.0000
0.0000 0.5000 0.5000
0.0000 0.0000 0.5000
0.0000 0.5000 0.0000
0.0000 0.0000 0.0000
0.5000 0.0000 0.5000
0.3723 0.6223 0.7500
0.6277 0.3777 0.2500
0.3255 0.0755 0.2500
0.9211 0.6711 0.2500
0.3408 0.6705 0.2615
0.9090 0.0793 0.2385
0.3408 0.0793 0.6703
0.9090 0.6705 0.8297
0.6745 0.9245 0.7500
0.0789 0.3289 0.7500
0.6592 0.3295 0.7385
0.0910 0.9207 0.7615
0.6592 0.9207 0.3297
0.0910 0.3295 0.1703
```

Properties
Formation energy from the elements: -280.9 kJ/mol of atoms

=====

A plane-wave DFT calculation with PBE with a Hubbard U was carried out for a relaxed structure of Ca4Al6WO16.

Cell and atoms, written as POSCAR:
```
Ca4Al6WO16
1.0
-1.3030 -3.3703 7.2892
-6.8256 3.8264 -2.2270
1.9379 -5.7204 -5.4507
Ca Al W O
4 6 1 16
direct
0.5152 0.9768 0.9650
0.0232 0.9881 0.5384
0.0119 0.5503 0.0350
0.4497 0.4848 0.4616
0.5177 0.7591 0.2636
0.2500 0.7500 0.5000
0.7459 0.4823 0.2414
0.7500 0.2500 0.5000
0.4955 0.2541 0.7364
0.2409 0.5045 0.7586
0.0000 0.0000 0.0000
0.3755 0.0053 0.6787
0.6872 0.2775 0.2824
0.3936 0.7076 0.0121
0.7225 0.0049 0.4097
0.9947 0.6734 0.3702
0.2924 0.3045 0.6860
0.3266 0.6968 0.3213
0.9951 0.4048 0.7176
0.6955 0.3816 0.9879
0.5952 0.3128 0.5903
0.3032 0.6245 0.6298
0.6184 0.6064 0.3140
0.1104 0.9523 0.8402
0.0477 0.8879 0.1581
0.1121 0.2702 0.1598
0.7298 0.8896 0.8419
```

Properties
Formation energy from the elements: -316.6 kJ/mol of atoms
Energy above the lowest structure with this stoichiometry: 0.009 eV per atom

=====

A plane-wave DFT calculation with PBE with a Hubbard U was carried out for a relaxed structure of LiVPO4.

Cell and atoms, written as POSCAR:
```
LiVPO4
1.0
-2.8701 -2.9043 -4.0802
-2.8701 2.9042 -4.0802
5.7413 0.0000 -8.1612
Li V P O
4 4 4 16
direct
0.2501 0.7499 0.7500
0.7501 0.2499 0.2500
0.0001 0.4999 0.0000
0.5000 0.0000 0.5000
0.5001 0.5002 0.4999
0.5000 0.5002 0.0000
0.9998 0.0001 0.9999
0.9999 0.9998 0.5001
0.5650 0.0652 0.8151
0.0651 0.5650 0.3150
0.4348 0.9350 0.1849
0.9350 0.4349 0.6849
0.6030 0.1031 0.1320
0.1031 0.6028 0.6321
0.6179 0.1181 0.6470
0.1180 0.6180 0.1470
0.3819 0.8822 0.3530
0.8821 0.3821 0.8529
0.3969 0.8970 0.8680
0.8971 0.3968 0.3680
0.3963 0.3404 0.8684
0.8963 0.8402 0.3684
0.8403 0.8962 0.8683
0.3403 0.3963 0.3684
0.6038 0.6597 0.1317
0.1037 0.1595 0.6317
0.1596 0.1037 0.1316
0.6596 0.6038 0.6317
```

Properties
Formation energy from the elements: -248.1 kJ/mol of atoms
Energy above the lowest structure with this stoichiometry: 0.071 eV per atom

=====

A plane-wave DFT calculation with PBE with a Hubbard U was carried out for a relaxed structure of MnBi2I8O8.

Cell and atoms, written as POSCAR:
```
MnBi2I8O8
1.0
-2.8022 10.0949 7.4433
-4.7054 2.6027 -5.3013
-13.1098 -6.2742 3.5738
Mn Bi I O
2 4 16 16
direct
0.5000 0.5000 0.5000
0.0000 0.5000 0.0000
0.5483 0.7758 0.9356
0.0483 0.2242 0.5644
0.4517 0.2242 0.0644
0.9517 0.7758 0.4356
0.3432 0.8913 0.0445
0.8432 0.1087 0.4555
0.6568 0.1087 0.9555
0.1568 0.8913 0.5445
0.6339 0.5259 0.0982
0.1339 0.4741 0.4018
0.3661 0.4741 0.9018
0.8661 0.5259 0.5982
0.6708 0.7301 0.7785
0.1708 0.2699 0.7215
0.3292 0.2699 0.2215
0.8292 0.7301 0.2785
0.4318 0.1495 0.6271
0.9318 0.8505 0.8729
0.5682 0.8505 0.3729
0.0682 0.1495 0.1271
0.4785 0.3494 0.6636
0.9785 0.6506 0.8364
0.5215 0.6506 0.3364
0.0215 0.3494 0.1636
0.6262 0.7201 0.4793
0.1262 0.2799 0.0207
0.3738 0.2799 0.5207
0.8738 0.7201 0.9793
0.4090 0.7309 0.5026
0.9090 0.2691 0.9974
0.5910 0.2691 0.4974
0.0910 0.7309 0.0026
0.5721 0.1105 0.5655
0.0721 0.8895 0.9345
0.4279 0.8895 0.4345
0.9279 0.1105 0.0655
```

Properties
Formation energy from the elements: -20.6 kJ/mol of atoms
Energy above the lowest structure with this stoichiometry: 0.331 eV per atom

=====

A plane-wave DFT calculation with PBE with a Hubbard U was carried out for a relaxed structure of La2MnP2O.

Cell and atoms, written as POSCAR:
```
La2MnP2O
1.0
-0.8874 -3.2979 0.6725
0.2457 -0.7572 -3.3885
14.2426 -3.4638 1.8069
La Mn P O
2 1 2 1
direct
0.5000 0.5000 0.6428
0.5000 0.5000 0.3572
0.5000 0.5000 0.0000
0.5000 0.5000 0.1591
0.5000 0.5000 0.8409
0.5000 0.5000 0.5000
```

Properties
Formation energy from the elements: -24.5 kJ/mol of atoms
Energy above the lowest structure with this stoichiometry: 0.000 eV per atom

=====

A plane-wave DFT calculation with PBE with a Hubbard U was carried out for a relaxed structure of VPPbO6.

Cell and atoms, written as POSCAR:
```
VPPbO6
1.0
-2.4553 7.8351 5.6440
-4.7211 -2.7047 1.7009
4.1645 -3.4788 6.6409
V P Pb O
4 4 4 24
direct
0.4110 0.3469 0.5888
0.9110 0.6531 0.9112
0.5890 0.6531 0.4112
0.0890 0.3469 0.0888
0.6090 0.6615 0.7865
0.1090 0.3385 0.7135
0.3910 0.3385 0.2135
0.8910 0.6615 0.2865
0.3148 0.8763 0.9264
0.8148 0.1237 0.5736
0.6852 0.1237 0.0736
0.1852 0.8763 0.4264
0.3414 0.2539 0.3800
0.8414 0.7461 0.1200
0.6586 0.7461 0.6200
0.1586 0.2539 0.8800
0.4742 0.5207 0.7728
0.9742 0.4793 0.7272
0.5258 0.4793 0.2272
0.0258 0.5207 0.2728
0.2200 0.4967 0.6391
0.7200 0.5033 0.8609
0.7800 0.5033 0.3609
0.2800 0.4967 0.1391
0.3674 0.0901 0.6728
0.8674 0.9099 0.8272
0.6326 0.9099 0.3272
0.1326 0.0901 0.1728
0.4243 0.6786 0.4723
0.9243 0.3214 0.0277
0.5757 0.3214 0.5277
0.0757 0.6786 0.9723
0.5746 0.8728 0.8882
0.0746 0.1272 0.6118
0.4254 0.1272 0.1118
0.9254 0.8728 0.3882
```

Properties
Formation energy from the elements: -229.6 kJ/mol of atoms
Energy above the lowest structure with this stoichiometry: 0.000 eV per atom

=====

A plane-wave DFT calculation with PBE with a Hubbard U was carried out for a relaxed structure of RbMg14CrO16.

Cell and atoms, written as POSCAR:
```
RbMg14CrO16
1.0
8.7132 0.0000 0.0000
0.0000 8.7132 0.0000
0.0000 0.0000 4.3949
Rb Mg Cr O
1 14 1 16
direct
0.0000 0.0000 0.0000
0.0000 0.5000 0.0000
0.5000 0.0000 0.0000
0.0000 0.2580 0.5000
0.0000 0.7420 0.5000
0.5000 0.2491 0.5000
0.5000 0.7509 0.5000
0.2580 0.0000 0.5000
0.2491 0.5000 0.5000
0.7420 0.0000 0.5000
0.7509 0.5000 0.5000
0.2506 0.2506 0.0000
0.2506 0.7494 0.0000
0.7494 0.2506 0.0000
0.7494 0.7494 0.0000
0.5000 0.5000 0.0000
0.2807 0.0000 0.0000
0.2619 0.5000 0.0000
0.7193 0.0000 0.0000
0.7381 0.5000 0.0000
0.2508 0.2508 0.5000
0.2508 0.7492 0.5000
0.7492 0.2508 0.5000
0.7492 0.7492 0.5000
0.0000 0.0000 0.5000
0.0000 0.5000 0.5000
0.5000 0.0000 0.5000
0.5000 0.5000 0.5000
0.0000 0.2807 0.0000
0.0000 0.7193 0.0000
0.5000 0.2619 0.0000
0.5000 0.7381 0.0000
```

Properties
Formation energy from the elements: -264.6 kJ/mol of atoms
Energy above the lowest structure with this stoichiometry: 0.004 eV per atom

=====

A plane-wave DFT calculation with PBE with a Hubbard U was carried out for a relaxed structure of LiV2BO5.

Cell and atoms, written as POSCAR:
```
LiV2BO5
1.0
-2.5702 1.5471 -0.5965
-3.3727 -7.3718 -4.5879
-5.0036 -4.2570 10.5185
Li V B O
4 8 4 20
direct
0.0000 0.0000 0.0000
0.5000 0.0000 0.5000
0.0000 0.5000 0.5000
0.5000 0.5000 0.0000
0.0000 0.0021 0.2839
0.5000 0.2403 0.1087
0.5000 0.2597 0.6087
0.0000 0.4979 0.7839
0.0000 0.5021 0.2161
0.5000 0.7403 0.3913
0.5000 0.7597 0.8913
0.0000 0.9979 0.7161
0.5000 0.2239 0.8616
0.5000 0.2761 0.3616
0.5000 0.7239 0.6384
0.5000 0.7761 0.1384
0.0000 0.1106 0.1511
0.0000 0.1186 0.5810
0.5000 0.1253 0.3523
0.5000 0.1451 0.7629
0.5000 0.1538 0.9561
0.5000 0.3462 0.4561
0.5000 0.3549 0.2629
0.5000 0.3747 0.8523
0.0000 0.3814 0.0810
0.0000 0.3894 0.6511
0.0000 0.6106 0.3489
0.0000 0.6186 0.9190
0.5000 0.6253 0.1477
0.5000 0.6451 0.7371
0.5000 0.6538 0.5439
0.5000 0.8462 0.0439
0.5000 0.8549 0.2371
0.5000 0.8747 0.6477
0.0000 0.8814 0.4190
0.0000 0.8894 0.8489
```

Properties
Formation energy from the elements: -253.2 kJ/mol of atoms

=====

A plane-wave DFT calculation with PBE with a Hubbard U was carried out for a relaxed structure of VBr2O.

Cell and atoms, written as POSCAR:
```
VBr2O
1.0
3.5884 -0.0015 -0.9651
-0.2740 3.4969 -1.0273
0.0937 0.2935 7.5966
V Br O
1 2 1
direct
0.0000 0.0000 0.0000
0.3722 0.8714 0.7479
0.6278 0.1286 0.2521
0.0000 0.5000 0.0000
```

Properties
Formation energy from the elements: -129.4 kJ/mol of atoms